1.
# CaMgPd

A relaxed CaMgPd crystal (GGA-PBE, Materials Project).

Structure (CIF):
```
data_CaMgPd
_cell_length_a 7.395
_cell_length_b 4.334
_cell_length_c 8.553
_cell_angle_alpha 90.00
_cell_angle_beta 90.00
_cell_angle_gamma 90.00
_space_group_name_H-M_alt 'P n m a'
_space_group_IT_number 62
_space_group_name_Hall '-P 2ac 2n'
loop_
_atom_site_label
_atom_site_type_symbol
_atom_site_fract_x
_atom_site_fract_y
_atom_site_fract_z
Ca1 Ca 0.030 0.250 0.175
Mg1 Mg 0.140 0.250 0.562
Pd1 Pd 0.229 0.750 0.374
```

---

2.
# Sr3LaCuRuO8

A relaxed Sr3LaCuRuO8 crystal (GGA-PBE, Materials Project).

Calculated values
- Total moment: 3.998 μB/cell

Structure (CIF):
```
data_Sr3LaCuRuO8
_cell_length_a 12.676
_cell_length_b 5.560
_cell_length_c 5.595
_cell_angle_alpha 90.00
_cell_angle_beta 90.45
_cell_angle_gamma 90.00
_space_group_name_H-M_alt 'C 1 m 1'
_space_group_IT_number 8
_space_group_name_Hall 'C -2y'
loop_
_atom_site_label
_atom_site_type_symbol
_atom_site_fract_x
_atom_site_fract_y
_atom_site_fract_z
Sr1 Sr 0.000 0.000 0.000
Sr2 Sr 0.002 0.500 0.508
Sr3 Sr 0.215 0.500 0.017
La1 La 0.216 0.000 0.521
Cu1 Cu 0.363 0.500 0.508
Ru1 Ru 0.362 0.000 0.009
O1 O 0.018 0.500 0.014
O2 O 0.034 0.000 0.523
O3 O 0.189 0.500 0.501
O4 O 0.195 0.000 0.990
O5 O 0.351 0.242 0.258
O6 O 0.353 0.246 0.760
```

---

3.
# Hg5Pd2

A relaxed Hg5Pd2 crystal (GGA-PBE, Materials Project).

Structure (CIF):
```
data_Hg5Pd2
_cell_length_a 9.952
_cell_length_b 9.952
_cell_length_c 3.001
_cell_angle_alpha 90.00
_cell_angle_beta 90.00
_cell_angle_gamma 90.00
_space_group_name_H-M_alt 'P 4/m b m'
_space_group_IT_number 127
_space_group_name_Hall '-P 4 2ab'
loop_
_atom_site_label
_atom_site_type_symbol
_atom_site_fract_x
_atom_site_fract_y
_atom_site_fract_z
Hg1 Hg 0.000 0.500 0.000
Hg2 Hg 0.064 0.205 0.000
Pd1 Pd 0.180 0.680 0.500
```

---

4.
# Rb3YBr6

A relaxed Rb3YBr6 crystal (GGA-PBE, Materials Project).

Calculated values
- Total moment: 0.011 μB/cell

Structure (CIF):
```
data_Rb3YBr6
_cell_length_a 12.112
_cell_length_b 12.112
_cell_length_c 12.112
_cell_angle_alpha 90.00
_cell_angle_beta 90.00
_cell_angle_gamma 90.00
_space_group_name_H-M_alt 'F m -3 m'
_space_group_IT_number 225
_space_group_name_Hall '-F 4 2 3'
loop_
_atom_site_label
_atom_site_type_symbol
_atom_site_fract_x
_atom_site_fract_y
_atom_site_fract_z
Rb1 Rb 0.000 0.000 0.000
Rb2 Rb 0.250 0.250 0.250
Y1 Y 0.000 0.000 0.500
Br1 Br 0.000 0.000 0.269
```

---

5.
# Te2MoWS2

A relaxed Te2MoWS2 crystal (GGA-PBE, Materials Project).

Calculated values
- Total moment: 0.002 μB/cell

Structure (CIF):
```
data_Te2MoWS2
_cell_length_a 3.3648
_cell_length_b 3.3648
_cell_length_c 39.7822
_cell_angle_alpha 90.00
_cell_angle_beta 90.00
_cell_angle_gamma 120.00
_space_group_name_H-M_alt 'P 3 m 1'
_space_group_IT_number 156
_space_group_name_Hall 'P 3 -2"'
loop_
_atom_site_label
_atom_site_type_symbol
_atom_site_fract_x
_atom_site_fract_y
_atom_site_fract_z
Te1 Te 0.0000 0.0000 0.0000
Te2 Te 0.0000 0.0000 0.0954
Te3 Te 0.3333 0.6667 0.8086
Te4 Te 0.3333 0.6667 0.9041
Mo1 Mo 0.0000 0.0000 0.4824
Mo2 Mo 0.3333 0.6667 0.6701
W1 W 0.0000 0.0000 0.8563
W2 W 0.3333 0.6667 0.0477
S1 S 0.0000 0.0000 0.6320
S2 S 0.0000 0.0000 0.7081
S3 S 0.3333 0.6667 0.4444
S4 S 0.3333 0.6667 0.5204
```

---

6.
# Dy2TeO6

A relaxed Dy2TeO6 crystal (GGA-PBE, Materials Project).

Calculated values
- Total moment: 0.001 μB/cell

Structure (CIF):
```
data_Dy2TeO6
_cell_length_a 4.999
_cell_length_b 4.999
_cell_length_c 10.104
_cell_angle_alpha 90.00
_cell_angle_beta 90.00
_cell_angle_gamma 90.00
_space_group_name_H-M_alt 'P 42/m n m'
_space_group_IT_number 136
_space_group_name_Hall '-P 4n 2n'
loop_
_atom_site_label
_atom_site_type_symbol
_atom_site_fract_x
_atom_site_fract_y
_atom_site_fract_z
Dy1 Dy 0.000 0.000 0.165
Te1 Te 0.000 0.000 0.500
O1 O 0.183 0.183 0.354
O2 O 0.222 0.222 0.000
```

---

7.
# Na3Y2In2P3S3O24

A relaxed Na3Y2In2P3S3O24 crystal (GGA-PBE, Materials Project).

Calculated values
- Total moment: 0.006 μB/cell

Structure (CIF):
```
data_Na3Y2In2P3S3O24
_cell_length_a 9.022
_cell_length_b 9.037
_cell_length_c 23.651
_cell_angle_alpha 90.47
_cell_angle_beta 90.07
_cell_angle_gamma 119.78
_space_group_name_H-M_alt 'P 1'
_space_group_IT_number 1
_space_group_name_Hall 'P 1'
loop_
_atom_site_label
_atom_site_type_symbol
_atom_site_fract_x
_atom_site_fract_y
_atom_site_fract_z
Na1 Na 0.000 0.000 0.000
Na2 Na 0.005 0.020 0.504
Na3 Na 0.024 0.355 0.589
Na4 Na 0.317 0.352 0.086
Na5 Na 0.343 0.706 0.674
Na6 Na 0.355 0.704 0.168
Na7 Na 0.640 0.320 0.334
Na8 Na 0.673 0.355 0.838
Na9 Na 0.990 0.686 0.425
Y1 Y 0.003 0.013 0.658
Y2 Y 0.005 0.014 0.151
Y3 Y 0.018 0.043 0.351
Y4 Y 0.337 0.679 0.318
Y5 Y 0.346 0.701 0.523
Y6 Y 0.665 0.339 0.487
In1 In 0.015 0.039 0.854
In2 In 0.331 0.673 0.823
In3 In 0.345 0.692 0.018
In4 In 0.659 0.349 0.183
In5 In 0.664 0.355 0.985
In6 In 0.684 0.355 0.691
P1 P 0.006 0.327 0.755
P2 P 0.040 0.389 0.425
P3 P 0.320 0.327 0.247
P4 P 0.334 0.985 0.418
P5 P 0.338 0.388 0.923
P6 P 0.382 0.053 0.084
P7 P 0.666 0.646 0.084
P8 P 0.674 0.057 0.593
P9 P 0.967 0.649 0.587
S1 S 0.040 0.690 0.921
S2 S 0.313 0.020 0.759
S3 S 0.377 0.356 0.593
S4 S 0.638 0.986 0.919
S5 S 0.646 0.689 0.420
S6 S 0.704 0.031 0.251
S7 S 0.704 0.719 0.759
S8 S 0.967 0.361 0.085
S9 S 0.993 0.708 0.254
O1 O 0.004 0.815 0.205
O2 O 0.010 0.206 0.419
O3 O 0.015 0.841 0.916
O4 O 0.022 0.245 0.700
O5 O 0.121 0.671 0.869
O6 O 0.135 0.469 0.481
O7 O 0.141 0.514 0.082
O8 O 0.142 0.502 0.374
O9 O 0.143 0.654 0.587
O10 O 0.146 0.717 0.971
O11 O 0.151 0.695 0.254
O12 O 0.161 0.985 0.416
O13 O 0.170 0.507 0.760
O14 O 0.174 0.208 0.919
O15 O 0.202 0.202 0.595
O16 O 0.205 0.046 0.089
O17 O 0.209 0.995 0.708
O18 O 0.221 0.221 0.300
O19 O 0.222 0.240 0.192
O20 O 0.228 0.038 0.810
O21 O 0.317 0.467 0.979
O22 O 0.321 0.882 0.472
O23 O 0.337 0.869 0.763
O24 O 0.340 0.507 0.251
O25 O 0.351 0.896 0.365
O26 O 0.353 0.508 0.591
O27 O 0.353 0.870 0.077
O28 O 0.358 0.499 0.872
O29 O 0.458 0.342 0.541
O30 O 0.466 0.168 0.033
O31 O 0.475 0.369 0.644
O32 O 0.482 0.179 0.755
O33 O 0.483 0.169 0.421
O34 O 0.488 0.125 0.139
O35 O 0.493 0.649 0.080
O36 O 0.497 0.339 0.249
O37 O 0.499 0.367 0.924
O38 O 0.524 0.873 0.589
O39 O 0.529 0.880 0.253
O40 O 0.529 0.903 0.868
O41 O 0.535 0.709 0.764
O42 O 0.547 0.677 0.369
O43 O 0.561 0.888 0.971
O44 O 0.562 0.705 0.472
O45 O 0.636 0.534 0.137
O46 O 0.645 0.138 0.647
O47 O 0.663 0.162 0.923
O48 O 0.666 0.536 0.422
O49 O 0.678 0.543 0.755
O50 O 0.691 0.162 0.540
O51 O 0.696 0.190 0.249
O52 O 0.698 0.568 0.031
O53 O 0.785 0.816 0.708
O54 O 0.792 0.014 0.201
O55 O 0.798 0.040 0.304
O56 O 0.808 0.997 0.914
O57 O 0.813 0.802 0.810
O58 O 0.816 0.828 0.091
O59 O 0.820 0.841 0.417
O60 O 0.843 0.536 0.248
O61 O 0.845 0.350 0.755
O62 O 0.846 0.057 0.596
O63 O 0.866 0.340 0.034
O64 O 0.866 0.387 0.424
O65 O 0.870 0.532 0.925
O66 O 0.871 0.535 0.638
O67 O 0.872 0.571 0.531
O68 O 0.886 0.379 0.137
O69 O 0.977 0.786 0.307
O70 O 0.987 0.215 0.806
O71 O 0.991 0.209 0.089
O72 O 0.996 0.831 0.593
```

---

8.
# Ho2Si3Pd

A relaxed Ho2Si3Pd crystal (GGA-PBE, Materials Project).

Calculated values
- Total moment: 0.002 μB/cell

Structure (CIF):
```
data_Ho2Si3Pd
_cell_length_a 8.2080
_cell_length_b 8.2080
_cell_length_c 7.8259
_cell_angle_alpha 90.00
_cell_angle_beta 90.00
_cell_angle_gamma 120.00
_space_group_name_H-M_alt 'P 63/m m c'
_space_group_IT_number 194
_space_group_name_Hall '-P 6c 2c'
loop_
_atom_site_label
_atom_site_type_symbol
_atom_site_fract_x
_atom_site_fract_y
_atom_site_fract_z
Ho1 Ho 0.0000 0.0000 0.2500
Ho2 Ho 0.0246 0.5123 0.2500
Si1 Si 0.1655 0.3311 0.5035
Pd1 Pd 0.3333 0.6667 0.5442
```

---

9.
# GdFe4P12

A relaxed GdFe4P12 crystal (GGA-PBE, Materials Project).

Structure (CIF):
```
data_GdFe4P12
_cell_length_a 7.805
_cell_length_b 7.805
_cell_length_c 7.805
_cell_angle_alpha 90.00
_cell_angle_beta 90.00
_cell_angle_gamma 90.00
_space_group_name_H-M_alt 'I m -3'
_space_group_IT_number 204
_space_group_name_Hall '-I 2 2 3'
loop_
_atom_site_label
_atom_site_type_symbol
_atom_site_fract_x
_atom_site_fract_y
_atom_site_fract_z
Gd1 Gd 0.000 0.000 0.000
Fe1 Fe 0.250 0.250 0.250
P1 P 0.000 0.352 0.150
```

---

10.
# LiBeSb

A relaxed LiBeSb crystal (GGA-PBE, Materials Project).

Calculated values
- Piezoelectric modulus e_max: 0.77 C/m²
- Total moment: 0.000 μB/cell

Structure (CIF):
```
data_LiBeSb
_cell_length_a 4.1724
_cell_length_b 4.1724
_cell_length_c 6.7808
_cell_angle_alpha 90.00
_cell_angle_beta 90.00
_cell_angle_gamma 120.00
_space_group_name_H-M_alt 'P 63 m c'
_space_group_IT_number 186
_space_group_name_Hall 'P 6c -2c'
loop_
_atom_site_label
_atom_site_type_symbol
_atom_site_fract_x
_atom_site_fract_y
_atom_site_fract_z
Li1 Li 0.0000 0.0000 0.0000
Be1 Be 0.3333 0.6667 0.3546
Sb1 Sb 0.3333 0.6667 0.7376
```

---

11.
# Ba3LiTa3Ti5O21

A relaxed Ba3LiTa3Ti5O21 crystal (GGA-PBE, Materials Project).

Calculated values
- Total moment: 0.008 μB/cell

Structure (CIF):
```
data_Ba3LiTa3Ti5O21
_cell_length_a 15.990
_cell_length_b 9.177
_cell_length_c 11.730
_cell_angle_alpha 90.00
_cell_angle_beta 90.00
_cell_angle_gamma 90.00
_space_group_name_H-M_alt 'C m c 21'
_space_group_IT_number 36
_space_group_name_Hall 'C 2c -2'
loop_
_atom_site_label
_atom_site_type_symbol
_atom_site_fract_x
_atom_site_fract_y
_atom_site_fract_z
Ba1 Ba 0.000 0.099 0.000
Ba2 Ba 0.204 0.301 0.501
Li1 Li 0.000 0.492 0.006
Ta1 Ta 0.000 0.258 0.339
Ta2 Ta 0.167 0.001 0.249
Ti1 Ti 0.000 0.249 0.664
Ti2 Ti 0.127 0.371 0.839
Ti3 Ti 0.128 0.381 0.157
O1 O 0.000 0.298 0.824
O2 O 0.000 0.301 0.173
O3 O 0.000 0.303 0.502
O4 O 0.083 0.099 0.351
O5 O 0.083 0.103 0.651
O6 O 0.101 0.396 0.325
O7 O 0.104 0.399 0.000
O8 O 0.104 0.399 0.677
O9 O 0.157 0.175 0.852
O10 O 0.157 0.176 0.153
O11 O 0.241 0.428 0.850
O12 O 0.243 0.426 0.148
```

---

12.
# SbH3SO4F6

A relaxed SbH3SO4F6 crystal (GGA-PBE, Materials Project).

Calculated values
- Total moment: 0.021 μB/cell

Structure (CIF):
```
data_SbH3SO4F6
_cell_length_a 5.290
_cell_length_b 8.180
_cell_length_c 10.026
_cell_angle_alpha 87.14
_cell_angle_beta 75.39
_cell_angle_gamma 88.95
_space_group_name_H-M_alt 'P -1'
_space_group_IT_number 2
_space_group_name_Hall '-P 1'
loop_
_atom_site_label
_atom_site_type_symbol
_atom_site_fract_x
_atom_site_fract_y
_atom_site_fract_z
Sb1 Sb 0.134 0.253 0.317
H1 H 0.183 0.020 0.820
H2 H 0.200 0.456 0.826
H3 H 0.397 0.741 0.410
S1 S 0.430 0.232 0.809
O1 O 0.203 0.118 0.876
O2 O 0.326 0.808 0.164
O3 O 0.333 0.397 0.869
O4 O 0.425 0.241 0.656
F1 F 0.002 0.443 0.229
F2 F 0.124 0.875 0.740
F3 F 0.132 0.706 0.516
F4 F 0.254 0.066 0.404
F5 F 0.362 0.395 0.375
F6 F 0.382 0.214 0.147
```

---

| no. | uncorrected energy (eV per atom) |
| --- | --- |
| 1 | -3.549 |
| 2 | -6.661 |
| 3 | -1.757 |
| 4 | -3.722 |
| 5 | -6.787 |
| 6 | -7.171 |
| 7 | -6.713 |
| 8 | -5.986 |
| 9 | -7.242 |
| 10 | -3.503 |
| 11 | -8.669 |
| 12 | -4.968 |